# 1
ErCd2 after structural relaxation. Source: the Materials Project, functional PBE.

```
ErCd2
1.0
2.779 4.883 0.000
-2.779 4.883 0.000
0.000 0.430 3.255
Er Cd
1 2
Direct
0.000 0.000 0.000
0.666 0.666 0.101
0.334 0.334 0.899
```

# 2
Er11Cd45 after structural relaxation. Source: the Materials Project, functional PBE.

```
Er11Cd45
1.0
3.803 -13.644 -5.914
-10.938 -10.245 -3.315
-3.321 -3.215 -14.636
Er Cd
22 90
Direct
0.000 0.000 0.000
0.014 0.334 0.638
0.014 0.014 0.638
0.334 0.014 0.638
0.014 0.638 0.334
0.334 0.638 0.014
0.014 0.638 0.014
0.638 0.014 0.014
0.638 0.334 0.014
0.638 0.014 0.334
0.334 0.014 0.014
0.014 0.014 0.334
0.014 0.334 0.014
0.250 0.250 0.250
0.406 0.406 0.781
0.406 0.781 0.406
0.781 0.406 0.406
0.406 0.406 0.406
0.662 0.662 0.014
0.662 0.014 0.662
0.014 0.662 0.662
0.662 0.662 0.662
0.083 0.083 0.750
0.083 0.750 0.083
0.750 0.083 0.083
0.083 0.083 0.083
0.913 0.913 0.260
0.913 0.260 0.913
0.260 0.913 0.913
0.913 0.913 0.913
0.156 0.156 0.844
0.844 0.156 0.844
0.156 0.844 0.844
0.844 0.844 0.156
0.156 0.844 0.156
0.844 0.156 0.156
0.391 0.201 0.018
0.391 0.391 0.018
0.201 0.391 0.018
0.391 0.018 0.201
0.201 0.018 0.391
0.391 0.018 0.391
0.018 0.391 0.391
0.018 0.201 0.391
0.018 0.391 0.201
0.201 0.391 0.391
0.391 0.391 0.201
0.391 0.201 0.391
0.164 0.164 0.509
0.164 0.509 0.164
0.509 0.164 0.164
0.164 0.164 0.164
0.263 0.612 0.862
0.263 0.263 0.862
0.612 0.263 0.862
0.263 0.862 0.612
0.612 0.862 0.263
0.263 0.862 0.263
0.862 0.263 0.263
0.862 0.612 0.263
0.862 0.263 0.612
0.612 0.263 0.263
0.263 0.263 0.612
0.263 0.612 0.263
0.500 0.500 0.500
0.640 0.450 0.269
0.640 0.640 0.269
0.450 0.640 0.269
0.640 0.269 0.450
0.450 0.269 0.640
0.640 0.269 0.640
0.269 0.640 0.640
0.269 0.450 0.640
0.269 0.640 0.450
0.450 0.640 0.640
0.640 0.640 0.450
0.640 0.450 0.640
0.512 0.834 0.141
0.512 0.512 0.141
0.834 0.512 0.141
0.512 0.141 0.834
0.834 0.141 0.512
0.512 0.141 0.512
0.141 0.512 0.512
0.141 0.834 0.512
0.141 0.512 0.834
0.834 0.512 0.512
0.512 0.512 0.834
0.512 0.834 0.512
0.750 0.750 0.750
0.830 0.830 0.510
0.830 0.510 0.830
0.510 0.830 0.830
0.830 0.830 0.830
0.911 0.911 0.589
0.589 0.911 0.589
0.911 0.589 0.589
0.589 0.589 0.911
0.911 0.589 0.911
0.589 0.911 0.911
0.764 0.067 0.405
0.764 0.764 0.405
0.067 0.764 0.405
0.764 0.405 0.067
0.067 0.405 0.764
0.764 0.405 0.764
0.405 0.764 0.764
0.405 0.067 0.764
0.405 0.764 0.067
0.067 0.764 0.764
0.764 0.764 0.067
0.764 0.067 0.764
```

# 3
ErCdGa after structural relaxation. Source: the Materials Project, functional PBE.

```
ErCdGa
1.0
3.617 -6.264 0.000
3.617 6.264 0.000
0.000 0.000 4.390
Er Cd Ga
3 3 3
Direct
0.423 0.423 0.500
0.577 0.000 0.500
0.000 0.577 0.500
0.752 0.752 0.000
0.248 0.000 0.000
0.000 0.248 0.000
0.667 0.333 0.000
0.333 0.667 0.000
0.000 0.000 0.500
```

# 4
HoErCd2 after structural relaxation. Source: the Materials Project, functional PBE.

```
HoErCd2
1.0
5.091 -0.490 1.266
1.370 -1.955 4.697
2.185 -4.783 0.327
Ho Er Cd
1 1 2
Direct
0.000 0.000 0.000
0.500 0.500 0.500
0.750 0.750 0.750
0.250 0.250 0.250
```

One value per record, in order, for E_form: 119, -210, -496, -311 meV/atom.